Record 1
A plane-wave DFT calculation with PBE-GGA was carried out for a relaxed structure of Ba9Ge23O57.

## Properties
- Calculated total energy: -6.448 eV per atom
- Corrected total energy (MP2020 scheme): -1226.11 eV for the cell shown
- E_form: -2.33 eV per atom

abc: 11.8592 11.8592 19.5111
angles: 90.00 90.00 60.15
Atoms (fractional coordinates):
Ba 0.1781 0.5005 0.0000
Ba 0.1778 0.8222 0.4998
Ba 0.1835 0.5000 0.2103
Ba 0.1837 0.8163 0.7103
Ba 0.1951 0.5004 0.7916
Ba 0.1946 0.8054 0.2923
Ba 0.4995 0.8219 0.0000
Ba 0.5000 0.1835 0.7103
Ba 0.5004 0.1951 0.2916
Ba 0.4996 0.8049 0.7916
Ba 0.5000 0.8165 0.2103
Ba 0.5005 0.1781 0.5000
Ba 0.8054 0.1946 0.7923
Ba 0.8049 0.4996 0.2916
Ba 0.8163 0.1837 0.2103
Ba 0.8165 0.5000 0.7103
Ba 0.8222 0.1778 0.9998
Ba 0.8219 0.4995 0.5000
Ge 0.0101 0.8380 0.1120
Ge 0.0112 0.6517 0.6120
Ge 0.0150 0.6549 0.3708
Ge 0.0150 0.8300 0.8709
Ge 0.1618 0.3481 0.6117
Ge 0.1620 0.9899 0.1120
Ge 0.1665 0.1668 0.2391
Ge 0.1668 0.1666 0.4894
Ge 0.1668 0.1665 0.7391
Ge 0.1666 0.1668 0.9894
Ge 0.1696 0.3454 0.3708
Ge 0.1700 0.9850 0.8709
Ge 0.3332 0.6668 0.1194
Ge 0.3345 0.4990 0.6181
Ge 0.3377 0.5000 0.4080
Ge 0.3378 0.6622 0.9074
Ge 0.3454 0.1696 0.8708
Ge 0.3451 0.9850 0.3708
Ge 0.3481 0.1618 0.1117
Ge 0.3483 0.9888 0.6120
Ge 0.4990 0.3345 0.1181
Ge 0.5000 0.3377 0.9080
Ge 0.4998 0.5002 0.2639
Ge 0.5002 0.4998 0.7639
Ge 0.5000 0.6623 0.4080
Ge 0.5010 0.6655 0.6181
Ge 0.6517 0.0112 0.1120
Ge 0.6519 0.8382 0.6117
Ge 0.6549 0.0150 0.8708
Ge 0.6546 0.8304 0.3708
Ge 0.6622 0.3378 0.4074
Ge 0.6623 0.5000 0.9080
Ge 0.6655 0.5010 0.1181
Ge 0.6668 0.3332 0.6194
Ge 0.8300 0.0150 0.3709
Ge 0.8304 0.6546 0.8708
Ge 0.8332 0.8335 0.2391
Ge 0.8334 0.8332 0.4894
Ge 0.8335 0.8332 0.7391
Ge 0.8332 0.8334 0.9894
Ge 0.8380 0.0101 0.6120
Ge 0.8382 0.6519 0.1117
Ge 0.9850 0.1700 0.3709
Ge 0.9850 0.3451 0.8708
Ge 0.9888 0.3483 0.1120
Ge 0.9899 0.1620 0.6120
O 0.0113 0.2407 0.2959
O 0.0116 0.2480 0.7958
O 0.0171 0.2358 0.0458
O 0.0169 0.2471 0.5457
O 0.0297 0.5001 0.5796
O 0.0295 0.9705 0.0795
O 0.0502 0.4999 0.3325
O 0.0505 0.9495 0.8325
O 0.0759 0.1068 0.9310
O 0.0758 0.3170 0.4309
O 0.0849 0.0949 0.1832
O 0.0853 0.3201 0.6832
O 0.0949 0.0849 0.6832
O 0.0949 0.3199 0.1829
O 0.1068 0.0759 0.4310
O 0.1070 0.3172 0.9309
O 0.1561 0.7153 0.1477
O 0.1572 0.6284 0.6482
O 0.1599 0.6401 0.4035
O 0.1596 0.7007 0.9043
O 0.2358 0.0171 0.5458
O 0.2368 0.2469 0.0453
O 0.2407 0.0113 0.7959
O 0.2407 0.2487 0.2958
O 0.2471 0.0169 0.0457
O 0.2469 0.2368 0.5453
O 0.2480 0.0116 0.2958
O 0.2487 0.2407 0.7958
O 0.2847 0.8439 0.1477
O 0.2857 0.3711 0.6467
O 0.2903 0.5064 0.5243
O 0.2957 0.7043 0.0244
O 0.2986 0.3610 0.4050
O 0.2993 0.8404 0.9043
O 0.3170 0.0758 0.9309
O 0.3172 0.1070 0.4309
O 0.3201 0.0853 0.1832
O 0.3199 0.0949 0.6829
O 0.3545 0.5014 0.1009
O 0.3563 0.6437 0.5976
O 0.3583 0.6417 0.8136
O 0.3588 0.4994 0.3140
O 0.3599 0.8401 0.4035
O 0.3610 0.2986 0.9050
O 0.3651 0.5001 0.9300
O 0.3656 0.6344 0.4311
O 0.3667 0.6333 0.2124
O 0.3681 0.4998 0.7111
O 0.3711 0.2857 0.1467
O 0.3716 0.8428 0.6482
O 0.4936 0.7097 0.5243
O 0.4994 0.3588 0.8140
O 0.4986 0.6455 0.1009
O 0.5001 0.0297 0.0796
O 0.4999 0.0502 0.8325
O 0.5001 0.3651 0.4300
O 0.4998 0.3681 0.2111
O 0.5002 0.6319 0.7111
O 0.4999 0.6349 0.9300
O 0.5001 0.9498 0.3325
O 0.4999 0.9703 0.5796
O 0.5014 0.3545 0.6009
O 0.5006 0.6412 0.3140
O 0.5064 0.2903 0.0243
O 0.6284 0.1572 0.1482
O 0.6289 0.7143 0.6467
O 0.6319 0.5002 0.2111
O 0.6333 0.3667 0.7124
O 0.6344 0.3656 0.9311
O 0.6349 0.4999 0.4300
O 0.6390 0.7014 0.4050
O 0.6401 0.1599 0.9035
O 0.6412 0.5006 0.8140
O 0.6417 0.3583 0.3136
O 0.6437 0.3563 0.0976
O 0.6455 0.4986 0.6009
O 0.6801 0.9051 0.1829
O 0.6799 0.9147 0.6832
O 0.6828 0.8930 0.9309
O 0.6830 0.9242 0.4309
O 0.7007 0.1596 0.4043
O 0.7014 0.6390 0.9050
O 0.7043 0.2957 0.5244
O 0.7097 0.4936 0.0243
O 0.7143 0.6289 0.1467
O 0.7153 0.1561 0.6477
O 0.7513 0.7593 0.2958
O 0.7520 0.9884 0.7958
O 0.7531 0.7632 0.0453
O 0.7529 0.9831 0.5457
O 0.7593 0.7513 0.7958
O 0.7593 0.9887 0.2959
O 0.7632 0.7531 0.5453
O 0.7642 0.9829 0.0458
O 0.8404 0.2993 0.4043
O 0.8401 0.3599 0.9035
O 0.8428 0.3716 0.1482
O 0.8439 0.2847 0.6477
O 0.8930 0.6828 0.4309
O 0.8932 0.9241 0.9310
O 0.9051 0.6801 0.6829
O 0.9051 0.9151 0.1832
O 0.9147 0.6799 0.1832
O 0.9151 0.9051 0.6832
O 0.9242 0.6830 0.9309
O 0.9241 0.8932 0.4310
O 0.9495 0.0505 0.3325
O 0.9498 0.5001 0.8325
O 0.9705 0.0295 0.5795
O 0.9703 0.4999 0.0796
O 0.9831 0.7529 0.0457
O 0.9829 0.7642 0.5458
O 0.9884 0.7520 0.2958
O 0.9887 0.7593 0.7959

Record 2
A plane-wave DFT calculation with PBE-GGA was carried out for a relaxed structure of Ba2GeO4.

## Properties
- Calculated total energy: -6.463 eV per atom
- Corrected total energy (MP2020 scheme): -191.96 eV for the cell shown
- E_form: -2.82 eV per atom

abc: 12.8223 7.8584 5.6842
angles: 90.00 90.00 90.00
Atoms (fractional coordinates):
Ba 0.0000 0.0000 0.0000
Ba 0.0000 0.5000 0.0000
Ba 0.2156 0.2500 0.4857
Ba 0.2844 0.7500 0.9857
Ba 0.5000 0.0000 0.5000
Ba 0.5000 0.5000 0.5000
Ba 0.7156 0.2500 0.0143
Ba 0.7844 0.7500 0.5143
Ge 0.0997 0.7500 0.4292
Ge 0.4003 0.2500 0.9292
Ge 0.5997 0.7500 0.0708
Ge 0.9003 0.2500 0.5708
O 0.0307 0.2500 0.6910
O 0.0949 0.7500 0.7422
O 0.1635 0.5678 0.3035
O 0.1635 0.9322 0.3035
O 0.3366 0.0678 0.8035
O 0.3366 0.4322 0.8035
O 0.4051 0.2500 0.2422
O 0.4693 0.7500 0.1910
O 0.5307 0.2500 0.8090
O 0.5949 0.7500 0.7578
O 0.6634 0.5678 0.1965
O 0.6634 0.9322 0.1965
O 0.8366 0.0678 0.6965
O 0.8366 0.4322 0.6965
O 0.9051 0.2500 0.2578
O 0.9693 0.7500 0.3090

Record 3
A plane-wave DFT calculation with PBE-GGA was carried out for a relaxed structure of BaGeO3.

## Properties
- Calculated total energy: -6.243 eV per atom
- Corrected total energy (MP2020 scheme): -195.66 eV for the cell shown
- E_form: -2.24 eV per atom

abc: 7.7707 9.1833 9.3771
angles: 63.73 71.66 78.28
Atoms (fractional coordinates):
Ba 0.0000 0.0000 0.0000
Ba 0.0382 0.2414 0.2885
Ba 0.2195 0.4499 0.6765
Ba 0.5292 0.8823 0.3117
Ba 0.6495 0.0907 0.7183
Ba 0.7928 0.6760 0.9203
Ge 0.1850 0.5884 0.2984
Ge 0.2641 0.6530 0.9285
Ge 0.3166 0.0085 0.6247
Ge 0.5804 0.3612 0.9465
Ge 0.7935 0.5170 0.4807
Ge 0.9439 0.8226 0.4697
O 0.1192 0.5083 0.9706
O 0.1771 0.7518 0.3788
O 0.1767 0.8370 0.7900
O 0.2707 0.1523 0.7155
O 0.2727 0.0727 0.4331
O 0.2827 0.7176 0.0766
O 0.4054 0.2176 0.1001
O 0.4380 0.2485 0.9117
O 0.5000 0.5679 0.8759
O 0.5360 0.9172 0.6159
O 0.5602 0.5466 0.4975
O 0.7176 0.9158 0.9998
O 0.7995 0.3239 0.9542
O 0.8589 0.6161 0.5857
O 0.8706 0.9775 0.3005
O 0.8797 0.3131 0.5439
O 0.9219 0.8846 0.6238
O 0.9382 0.6197 0.2727

Record 4
A plane-wave DFT calculation with PBE-GGA was carried out for a relaxed structure of BaGeO3.

## Properties
- Calculated total energy: -6.329 eV per atom
- Corrected total energy (MP2020 scheme): -33.70 eV for the cell shown
- E_form: -2.46 eV per atom

abc: 3.9804 3.9804 3.9804
angles: 90.00 90.00 90.00
Atoms (fractional coordinates):
Ba 0.0000 0.0000 0.0000
Ge 0.5000 0.5000 0.5000
O 0.0000 0.5000 0.5000
O 0.5000 0.0000 0.5000
O 0.5000 0.5000 0.0000

Record 5
A plane-wave DFT calculation with PBE-GGA was carried out for a relaxed structure of Ba2GeO4.

## Properties
- Calculated total energy: -6.500 eV per atom
- Corrected total energy (MP2020 scheme): -578.99 eV for the cell shown
- E_form: -2.86 eV per atom

abc: 23.1552 10.5578 6.1504
angles: 90.00 90.00 90.00
Atoms (fractional coordinates):
Ba 0.0021 0.2007 0.0000
Ba 0.0544 0.5784 0.9930
Ba 0.1104 0.0792 0.4747
Ba 0.1647 0.7009 0.4469
Ba 0.1690 0.3040 0.9560
Ba 0.2201 0.9246 0.9461
Ba 0.2799 0.4246 0.4461
Ba 0.3310 0.8040 0.4560
Ba 0.3353 0.2009 0.9469
Ba 0.3896 0.5792 0.9747
Ba 0.4456 0.0784 0.4930
Ba 0.4979 0.7007 0.5000
Ba 0.5021 0.2993 0.0000
Ba 0.5544 0.9216 0.9930
Ba 0.6104 0.4208 0.4747
Ba 0.6647 0.7991 0.4469
Ba 0.6690 0.1960 0.9560
Ba 0.7201 0.5754 0.9461
Ba 0.7799 0.0754 0.4461
Ba 0.8310 0.6960 0.4560
Ba 0.8353 0.2991 0.9469
Ba 0.8896 0.9208 0.9747
Ba 0.9456 0.4216 0.4930
Ba 0.9979 0.7993 0.5000
Ge 0.0727 0.9175 0.9654
Ge 0.0944 0.4169 0.4911
Ge 0.2410 0.5863 0.9553
Ge 0.2590 0.0863 0.4553
Ge 0.4056 0.9169 0.9911
Ge 0.4273 0.4175 0.4654
Ge 0.5727 0.5825 0.9654
Ge 0.5944 0.0831 0.4911
Ge 0.7410 0.9137 0.9553
Ge 0.7590 0.4137 0.4553
Ge 0.9056 0.5831 0.9911
Ge 0.9273 0.0825 0.4654
O 0.0005 0.0562 0.3930
O 0.9995 0.9438 0.8930
O 0.0573 0.5650 0.5337
O 0.0707 0.3065 0.6928
O 0.0735 0.3600 0.2300
O 0.0819 0.8074 0.1817
O 0.1075 0.8596 0.7226
O 0.1087 0.0636 0.0315
O 0.1667 0.5665 0.0198
O 0.1697 0.4400 0.5230
O 0.2242 0.9382 0.3907
O 0.2247 0.1394 0.7009
O 0.2472 0.1972 0.2420
O 0.2528 0.6972 0.7420
O 0.2753 0.6394 0.2009
O 0.2758 0.4382 0.8907
O 0.3303 0.9400 0.0230
O 0.3333 0.0665 0.5198
O 0.3913 0.5636 0.5315
O 0.3925 0.3596 0.2226
O 0.4181 0.3074 0.6817
O 0.4265 0.8600 0.7300
O 0.4293 0.8065 0.1928
O 0.4427 0.0650 0.0337
O 0.5005 0.4438 0.3930
O 0.4995 0.5562 0.8930
O 0.5573 0.9350 0.5337
O 0.5707 0.1935 0.6928
O 0.5735 0.1400 0.2300
O 0.5819 0.6926 0.1817
O 0.6075 0.6404 0.7226
O 0.6087 0.4364 0.0315
O 0.6667 0.9335 0.0198
O 0.6697 0.0600 0.5230
O 0.7242 0.5618 0.3907
O 0.7247 0.3606 0.7009
O 0.7472 0.3028 0.2420
O 0.7528 0.8028 0.7420
O 0.7753 0.8606 0.2009
O 0.7758 0.0618 0.8907
O 0.8303 0.5600 0.0230
O 0.8333 0.4335 0.5198
O 0.8913 0.9364 0.5315
O 0.8925 0.1404 0.2226
O 0.9181 0.1926 0.6817
O 0.9265 0.6400 0.7300
O 0.9293 0.6935 0.1928
O 0.9427 0.4350 0.0337

Record 6
A plane-wave DFT calculation with PBE-GGA was carried out for a relaxed structure of Ba2GeO4.

## Properties
- Calculated total energy: -6.495 eV per atom
- Corrected total energy (MP2020 scheme): -192.87 eV for the cell shown
- E_form: -2.85 eV per atom

abc: 6.0468 7.7091 12.1941
angles: 90.00 119.72 90.00
Atoms (fractional coordinates):
Ba 0.0567 0.0064 0.3032
Ba 0.0567 0.4936 0.8032
Ba 0.3315 0.1614 0.0861
Ba 0.3315 0.3386 0.5861
Ba 0.6685 0.6614 0.4139
Ba 0.6685 0.8386 0.9139
Ba 0.9433 0.5064 0.1968
Ba 0.9433 0.9936 0.6968
Ge 0.3295 0.7231 0.0784
Ge 0.3295 0.7769 0.5784
Ge 0.6705 0.2231 0.4216
Ge 0.6705 0.2769 0.9216
O 0.1278 0.6909 0.6335
O 0.1278 0.8091 0.1335
O 0.2122 0.6888 0.4230
O 0.2122 0.8112 0.9230
O 0.3286 0.0063 0.5770
O 0.3286 0.4937 0.0770
O 0.3545 0.2013 0.8239
O 0.3545 0.2987 0.3239
O 0.6455 0.7013 0.6761
O 0.6455 0.7987 0.1761
O 0.6714 0.5063 0.9230
O 0.6714 0.9937 0.4230
O 0.7878 0.1888 0.0770
O 0.7878 0.3112 0.5770
O 0.8722 0.1909 0.8665
O 0.8722 0.3091 0.3665